Computed, not measured: crystalline CaCuP at its relaxed geometry at the PBE level of DFT.

* energy relative to the elements: -0.86 eV per atom
* space group: P6_3/mmc, No. 194

Cell lengths 4.0380, 4.0380, 7.8900 Å; angles 90.00, 90.00, 120.00 degrees
Fractional positions:
Ca1 0.0000 0.0000 0.0000
Ca2 0.0000 0.0000 0.5000
Cu1 0.3333 0.6667 0.2500
Cu2 0.6667 0.3333 0.7500
P1 0.3333 0.6667 0.7500
P2 0.6667 0.3333 0.2500